Below is a relaxed structure of Sm27Y5O48, with properties calculated at the PBE-GGA level.

Values from the calculation:
The total energy is -8.432 eV/atom. As for the formation energy: -3.878 eV per atom. Its calculated volume is 16.4 A^3/atom. The total magnetization is 0.0 μB/f.u.

a b c (Å): 9.4805 9.4930 15.4980
angles (deg): 90.03 90.02 109.46
Atoms (fractional coordinates):
Sm  0.0000  0.0000  0.0000
Sm  0.0000  0.0000  0.5000
Sm  0.0166  0.9840  0.2659
Sm  0.0927  0.3442  0.3749
Sm  0.0928  0.3435  0.8738
Sm  0.1083  0.3919  0.1419
Sm  0.1422  0.3601  0.6094
Sm  0.2336  0.7652  0.9837
Sm  0.2667  0.7331  0.5163
Sm  0.3600  0.1404  0.8900
Sm  0.3921  0.1090  0.3585
Sm  0.4081  0.1559  0.1254
Sm  0.4084  0.1580  0.6251
Sm  0.4828  0.5154  0.2349
Sm  0.5000  0.5000  0.0000
Sm  0.5172  0.4846  0.7651
Sm  0.5916  0.8420  0.3749
Sm  0.5919  0.8441  0.8746
Sm  0.6079  0.8910  0.6415
Sm  0.6400  0.8596  0.1100
Sm  0.7333  0.2669  0.4837
Sm  0.7664  0.2348  0.0163
Sm  0.8578  0.6399  0.3906
Sm  0.8917  0.6081  0.8581
Sm  0.9072  0.6565  0.1262
Sm  0.9073  0.6558  0.6251
Sm  0.9834  0.0160  0.7341
Y  0.2498  0.7501  0.2503
Y  0.2499  0.7504  0.7497
Y  0.5000  0.5000  0.5000
Y  0.7501  0.2496  0.2503
Y  0.7502  0.2499  0.7497
O  0.0007  0.2760  0.7344
O  0.0191  0.7858  0.7554
O  0.0269  0.2569  0.0145
O  0.0347  0.7640  0.4943
O  0.1054  0.0942  0.8649
O  0.1274  0.5962  0.6375
O  0.1432  0.6011  0.8674
O  0.1500  0.1096  0.6206
O  0.1557  0.1266  0.3850
O  0.1585  0.6472  0.1169
O  0.2394  0.5046  0.2711
O  0.2500  0.0083  0.0201
O  0.2544  0.4903  0.4796
O  0.2604  0.9956  0.2291
O  0.3419  0.8533  0.3839
O  0.3439  0.3728  0.1153
O  0.3511  0.3912  0.8789
O  0.3571  0.8992  0.6315
O  0.3724  0.9034  0.8620
O  0.3984  0.4083  0.6330
O  0.4648  0.7349  0.0056
O  0.4735  0.2482  0.4846
O  0.4804  0.7144  0.7443
O  0.4996  0.2244  0.7647
O  0.5004  0.7756  0.2353
O  0.5196  0.2856  0.2557
O  0.5265  0.7518  0.5154
O  0.5352  0.2651  0.9944
O  0.6016  0.5917  0.3670
O  0.6276  0.0966  0.1380
O  0.6429  0.1008  0.3685
O  0.6489  0.6088  0.1211
O  0.6561  0.6272  0.8847
O  0.6581  0.1467  0.6161
O  0.7396  0.0044  0.7709
O  0.7456  0.5097  0.5204
O  0.7500  0.9917  0.9799
O  0.7606  0.4954  0.7289
O  0.8415  0.3528  0.8831
O  0.8443  0.8734  0.6150
O  0.8500  0.8904  0.3794
O  0.8568  0.3989  0.1326
O  0.8726  0.4038  0.3625
O  0.8946  0.9058  0.1351
O  0.9653  0.2360  0.5057
O  0.9731  0.7431  0.9855
O  0.9809  0.2142  0.2446
O  0.9993  0.7240  0.2656